! Y2Pb2O7 (r²SCAN, optimized geometry); values from VASP
! - magnetic moment (μB/cell) = 0.000
! - DFT formation energy (eV per atom) = -2.34
! - space group = No. 227
! - theoretical density (g/cm3) = 7.70
&SYSTEM
  ibrav = 0, nat = 22, ntyp = 3
/
ATOMIC_SPECIES
O 16.00 O.upf
Pb 207.20 Pb.upf
Y 88.91 Y.upf
ATOMIC_POSITIONS angstrom
O -5.976 -1.774 -0.931
O -8.077 -1.890 -4.076
O -4.359 -2.529 -3.785
O -5.671 -0.860 -5.451
O -2.101 -0.116 -3.145
O -8.475 -3.857 -6.246
O -9.748 0.061 -5.539
O -6.406 -3.840 -2.613
O -12.115 -2.834 -6.114
O -5.384 0.626 -3.216
O -3.718 0.640 -0.291
O -7.679 0.078 -1.906
O -10.483 -2.919 -2.701
O -2.693 -2.516 -0.860
Pb -5.699 0.359 -1.099
Pb -4.549 -3.178 -1.737
Pb -2.019 -0.472 -1.019
Pb -3.886 -0.488 -4.298
Y -10.096 -2.362 -5.095
Y -8.229 -2.347 -1.816
Y -7.566 0.344 -4.377
Y -6.417 -3.193 -5.015
CELL_PARAMETERS angstrom
-5.061 -5.411 -1.435
-7.359 1.663 -0.159
-3.734 -0.031 -6.558

! PdO (r²SCAN, optimized geometry); values from VASP
! - magnetic moment (μB/cell) = 0.000
! - DFT formation energy (eV per atom) = -0.61
! - space group = No. 131
! - theoretical density (g/cm3) = 8.12
&SYSTEM
  ibrav = 0, nat = 4, ntyp = 2
/
ATOMIC_SPECIES
Pd 106.42 Pd.upf
O 16.00 O.upf
ATOMIC_POSITIONS angstrom
Pd 0.241 -0.403 1.453
Pd -1.380 2.596 0.949
O 0.188 3.886 1.046
O 0.063 1.295 0.349
CELL_PARAMETERS angstrom
-3.012 0.010 0.503
0.483 -0.805 2.906
0.251 5.181 1.394